# 1
# YMn4Cu3O12 GGA+U relaxed
data_YMn4Cu3O12
_chemical_formula_sum 'Y2 Mn8 Cu6 O24'
_symmetry_space_group_name_H-M 'P m m m'
_symmetry_Int_Tables_number 47
_cell_length_a 7.312
_cell_length_b 7.449
_cell_length_c 7.493
_cell_angle_alpha 90.00
_cell_angle_beta 90.00
_cell_angle_gamma 90.00
loop_
_symmetry_equiv_pos_as_xyz
'x,y,z'
'-x,-y,-z'
'-x,-y,z'
'x,y,-z'
'x,-y,-z'
'-x,y,z'
'-x,y,-z'
'x,-y,z'
loop_
_atom_site_label
_atom_site_type_symbol
_atom_site_fract_x
_atom_site_fract_y
_atom_site_fract_z
_atom_site_occupancy
Y1 Y 0.000 0.000 0.000 1
Y2 Y 0.500 0.500 0.500 1
Mn1 Mn 0.249 0.250 0.250 1
Cu1 Cu 0.000 0.000 0.500 1
Cu2 Cu 0.000 0.500 0.000 1
Cu3 Cu 0.000 0.500 0.500 1
Cu4 Cu 0.500 0.000 0.000 1
Cu5 Cu 0.500 0.000 0.500 1
Cu6 Cu 0.500 0.500 0.000 1
O1 O 0.000 0.171 0.296 1
O2 O 0.172 0.307 0.000 1
O3 O 0.197 0.500 0.333 1
O4 O 0.303 0.000 0.167 1
O5 O 0.328 0.194 0.500 1
O6 O 0.500 0.331 0.200 1
# Energy (eV per atom): -6.835

# 2
# Mn4ZnCu3O12 GGA+U relaxed
data_Mn4ZnCu3O12
_chemical_formula_sum 'Mn8 Zn2 Cu6 O24'
_symmetry_space_group_name_H-M 'I m -3'
_symmetry_Int_Tables_number 204
_symmetry_space_group_name_Hall '-I 2 2 3'
_cell_length_a 7.359
_cell_length_b 7.359
_cell_length_c 7.359
_cell_angle_alpha 90.00
_cell_angle_beta 90.00
_cell_angle_gamma 90.00
loop_
_atom_site_label
_atom_site_type_symbol
_atom_site_fract_x
_atom_site_fract_y
_atom_site_fract_z
_atom_site_occupancy
Mn1 Mn 0.250 0.250 0.250 1
Zn1 Zn 0.000 0.000 0.000 1
Cu1 Cu 0.000 0.000 0.500 1
O1 O 0.000 0.309 0.170 1
# Energy above the most stable polymorph in this dataset (meV per atom): 0.0
# Energy (eV per atom): -6.192

Number 1: total magnetization 15.0 μB per formula unit, V 10.20 Å³ per atom, formation energy from the elements -3552.9 kJ/mol of formula units. Number 2: total magnetization 14.9 μB per formula unit, V 9.96 Å³ per atom, formation energy from the elements -2815.5 kJ/mol of formula units.